(1)
Fe4P3H4NO12: relaxed, PBE+U.

Cell: 6.332 9.945 16.961 Å, 90.00 90.00 90.00°
Positions (direct):
O (0.000, 0.139, 0.958)
O (0.796, 0.407, 0.324)
O (0.199, 0.919, 0.623)
O (0.500, 0.616, 0.816)
O (0.000, 0.395, 0.199)
O (0.000, 0.366, 0.021)
O (0.801, 0.919, 0.623)
O (0.305, 0.331, 0.590)
O (0.195, 0.831, 0.910)
O (0.801, 0.081, 0.377)
O (0.805, 0.831, 0.910)
O (0.000, 0.885, 0.751)
O (0.199, 0.081, 0.377)
O (0.500, 0.885, 0.776)
O (0.000, 0.615, 0.276)
O (0.699, 0.419, 0.877)
O (0.204, 0.593, 0.676)
O (0.000, 0.385, 0.724)
O (0.204, 0.407, 0.324)
O (0.296, 0.093, 0.824)
O (0.704, 0.093, 0.824)
O (0.301, 0.581, 0.123)
O (0.305, 0.669, 0.410)
O (0.500, 0.361, 0.458)
O (0.695, 0.669, 0.410)
O (0.695, 0.331, 0.590)
O (0.500, 0.385, 0.749)
O (0.805, 0.169, 0.090)
O (0.704, 0.907, 0.176)
O (0.000, 0.605, 0.801)
O (0.000, 0.634, 0.979)
O (0.500, 0.866, 0.479)
O (0.000, 0.116, 0.684)
O (0.500, 0.115, 0.224)
O (0.000, 0.115, 0.249)
O (0.000, 0.884, 0.316)
O (0.195, 0.169, 0.090)
O (0.500, 0.639, 0.542)
O (0.500, 0.895, 0.301)
O (0.500, 0.384, 0.184)
O (0.500, 0.134, 0.521)
O (0.500, 0.615, 0.251)
O (0.796, 0.593, 0.676)
O (0.699, 0.581, 0.123)
O (0.296, 0.907, 0.176)
O (0.000, 0.861, 0.042)
O (0.500, 0.105, 0.699)
O (0.301, 0.419, 0.877)
H (0.500, 0.693, 0.035)
H (0.500, 0.173, 0.026)
H (0.867, 0.670, 0.561)
H (0.133, 0.330, 0.439)
H (0.500, 0.827, 0.974)
H (0.000, 0.193, 0.465)
H (0.367, 0.830, 0.061)
H (0.633, 0.170, 0.939)
H (0.367, 0.170, 0.939)
H (0.000, 0.673, 0.474)
H (0.000, 0.327, 0.526)
H (0.133, 0.670, 0.561)
H (0.633, 0.830, 0.061)
H (0.867, 0.330, 0.439)
H (0.000, 0.807, 0.535)
H (0.500, 0.307, 0.965)
Fe (0.749, 0.252, 0.704)
Fe (0.249, 0.248, 0.204)
Fe (0.500, 0.965, 0.594)
Fe (0.000, 0.014, 0.862)
Fe (0.751, 0.248, 0.204)
Fe (0.000, 0.465, 0.906)
Fe (0.500, 0.486, 0.362)
Fe (0.251, 0.252, 0.704)
Fe (0.249, 0.752, 0.796)
Fe (0.751, 0.752, 0.796)
Fe (0.000, 0.535, 0.094)
Fe (0.749, 0.748, 0.296)
Fe (0.500, 0.035, 0.406)
Fe (0.251, 0.748, 0.296)
Fe (0.000, 0.986, 0.138)
Fe (0.500, 0.514, 0.638)
P (0.500, 0.461, 0.832)
P (0.500, 0.539, 0.168)
P (0.000, 0.212, 0.038)
P (0.000, 0.788, 0.962)
P (0.000, 0.541, 0.715)
P (0.500, 0.959, 0.215)
P (0.500, 0.041, 0.785)
P (0.000, 0.459, 0.285)
P (0.500, 0.288, 0.538)
P (0.000, 0.039, 0.332)
P (0.500, 0.712, 0.462)
P (0.000, 0.961, 0.668)
N (0.500, 0.796, 0.032)
N (0.500, 0.204, 0.968)
N (0.000, 0.296, 0.468)
N (0.000, 0.704, 0.532)

Properties
Mass density, g/cm3: 3.27
Space group: Pnnm, No. 58
Raw total energy, eV/atom: -6.690
ΔH_f (0 K), eV per atom: -1.93
Crystal system: orthorhombic

=====

(2)
Li2VF6: relaxed, PBE+U.

Cell: 4.684 4.684 9.152 Å, 90.00 90.00 90.00°
Positions (direct):
F (0.221, 0.779, 0.500)
F (0.807, 0.193, 0.154)
F (0.721, 0.721, 0.000)
F (0.279, 0.279, 0.000)
F (0.693, 0.693, 0.654)
F (0.307, 0.307, 0.654)
F (0.193, 0.807, 0.154)
F (0.693, 0.693, 0.346)
F (0.779, 0.221, 0.500)
F (0.307, 0.307, 0.346)
F (0.807, 0.193, 0.846)
F (0.193, 0.807, 0.846)
V (0.000, 0.000, 0.000)
V (0.500, 0.500, 0.500)
Li (0.000, 0.000, 0.666)
Li (0.500, 0.500, 0.834)
Li (0.000, 0.000, 0.334)
Li (0.500, 0.500, 0.166)

Properties
Mass density, g/cm3: 2.96
Excess energy over the best structure of this formula in the dataset, eV/atom: 0.000
Space group: P4_2/mnm, No. 136
Raw total energy, eV/atom: -5.362
ΔH_f (0 K), eV per atom: -3.15
Crystal system: tetragonal

=====

(3)
LiV2P4H2O16: relaxed, PBE+U.

Cell: 7.355 9.262 12.552 Å, 97.05 101.08 97.67°
Positions (direct):
P (0.236, 0.025, 0.175)
P (0.265, 0.275, 0.924)
P (0.770, 0.637, 0.494)
P (0.776, 0.310, 0.162)
P (0.266, 0.940, 0.597)
P (0.766, 0.976, 0.825)
P (0.732, 0.722, 0.071)
P (0.232, 0.357, 0.509)
P (0.724, 0.390, 0.743)
P (0.733, 0.057, 0.409)
P (0.238, 0.688, 0.843)
P (0.260, 0.606, 0.258)
O (0.060, 0.717, 0.766)
O (0.316, 0.462, 0.288)
O (0.550, 0.279, 0.729)
O (0.852, 0.085, 0.530)
O (0.687, 0.869, 0.039)
O (0.946, 0.956, 0.898)
O (0.635, 0.056, 0.885)
O (0.634, 0.715, 0.557)
O (0.858, 0.333, 0.667)
O (0.679, 0.541, 0.712)
O (0.864, 0.994, 0.337)
O (0.363, 0.944, 0.113)
O (0.136, 0.336, 0.998)
O (0.054, 0.382, 0.433)
O (0.350, 0.179, 0.232)
O (0.687, 0.205, 0.378)
O (0.654, 0.161, 0.101)
O (0.323, 0.791, 0.624)
O (0.865, 0.661, 0.998)
O (0.145, 0.250, 0.804)
O (0.189, 0.946, 0.271)
O (0.160, 0.921, 0.477)
O (0.650, 0.824, 0.764)
O (0.841, 0.743, 0.193)
O (0.808, 0.720, 0.399)
O (0.557, 0.610, 0.064)
O (0.355, 0.268, 0.447)
O (0.555, 0.948, 0.398)
O (0.351, 0.506, 0.568)
O (0.366, 0.610, 0.778)
O (0.173, 0.269, 0.599)
O (0.144, 0.998, 0.675)
O (0.651, 0.486, 0.436)
O (0.309, 0.123, 0.948)
O (0.828, 0.398, 0.069)
O (0.181, 0.597, 0.930)
O (0.149, 0.584, 0.137)
O (0.344, 0.844, 0.898)
O (0.445, 0.716, 0.269)
O (0.644, 0.396, 0.220)
O (0.138, 0.672, 0.333)
O (0.446, 0.050, 0.602)
O (0.051, 0.045, 0.101)
O (0.848, 0.418, 0.861)
O (0.948, 0.624, 0.573)
O (0.951, 0.290, 0.238)
O (0.446, 0.383, 0.935)
O (0.821, 0.065, 0.733)
V (0.991, 0.175, 0.666)
V (0.511, 0.003, 0.004)
V (0.998, 0.500, 0.000)
V (0.502, 0.332, 0.333)
V (0.503, 0.667, 0.667)
V (0.998, 0.833, 0.333)
H (0.008, 0.670, 0.677)
H (0.489, 0.486, 0.991)
H (0.013, 0.007, 0.017)
H (0.487, 0.817, 0.325)
H (0.010, 0.339, 0.345)
H (0.493, 0.152, 0.661)
Li (0.351, 0.052, 0.423)
Li (0.153, 0.955, 0.826)
Li (0.648, 0.610, 0.241)

Properties
Mass density, g/cm3: 2.97
Excess energy over the best structure of this formula in the dataset, eV/atom: 0.002
Space group: P1, No. 1
Raw total energy, eV/atom: -6.933
ΔH_f (0 K), eV per atom: -2.40
Crystal system: triclinic

=====

(4)
VH26C12O4: relaxed, PBE+U.

Cell: 9.910 10.043 11.660 Å, 90.00 90.00 59.78°
Positions (direct):
C (0.161, 0.400, 0.632)
C (0.839, 0.600, 0.132)
C (0.534, 0.704, 0.736)
C (0.159, 0.381, 0.847)
C (0.975, 0.148, 0.418)
C (0.116, 0.857, 0.421)
C (0.348, 0.241, 0.240)
C (0.763, 0.704, 0.236)
C (0.237, 0.296, 0.736)
C (0.988, 0.996, 0.990)
C (0.466, 0.296, 0.236)
C (0.540, 0.620, 0.847)
C (0.138, 0.987, 0.023)
C (0.438, 0.400, 0.132)
C (0.412, 0.239, 0.740)
C (0.652, 0.759, 0.740)
C (0.588, 0.761, 0.240)
C (0.862, 0.013, 0.523)
C (0.025, 0.852, 0.918)
C (0.460, 0.380, 0.347)
C (0.884, 0.143, 0.921)
C (0.841, 0.619, 0.347)
C (0.562, 0.600, 0.632)
C (0.012, 0.004, 0.490)
H (0.678, 0.496, 0.638)
H (0.170, 0.484, 0.856)
H (0.642, 0.826, 0.663)
H (0.830, 0.516, 0.356)
H (0.570, 0.662, 0.243)
H (0.549, 0.414, 0.347)
H (0.898, 0.253, 0.467)
H (0.083, 0.148, 0.395)
H (0.534, 0.833, 0.316)
H (0.633, 0.831, 0.816)
H (0.471, 0.171, 0.663)
H (0.172, 0.504, 0.638)
H (0.035, 0.416, 0.847)
H (0.358, 0.174, 0.163)
H (0.828, 0.496, 0.138)
H (0.771, 0.659, 0.744)
H (0.805, 0.975, 0.462)
H (0.195, 0.025, 0.962)
H (0.367, 0.169, 0.316)
H (0.479, 0.306, 0.422)
H (0.322, 0.504, 0.138)
H (0.344, 0.485, 0.356)
H (0.217, 0.338, 0.552)
H (0.945, 0.143, 0.842)
H (0.556, 0.661, 0.552)
H (0.529, 0.829, 0.163)
H (0.783, 0.662, 0.052)
H (0.859, 0.245, 0.972)
H (0.917, 0.852, 0.895)
H (0.914, 0.148, 0.339)
H (0.965, 0.584, 0.347)
H (0.036, 0.437, 0.628)
H (0.215, 0.306, 0.922)
H (0.774, 0.149, 0.897)
H (0.473, 0.565, 0.628)
H (0.964, 0.563, 0.128)
H (0.226, 0.851, 0.397)
H (0.204, 0.914, 0.095)
H (0.430, 0.338, 0.743)
H (0.656, 0.515, 0.856)
H (0.451, 0.586, 0.847)
H (0.141, 0.755, 0.472)
H (0.521, 0.694, 0.922)
H (0.785, 0.694, 0.422)
H (0.466, 0.167, 0.816)
H (0.444, 0.339, 0.052)
H (0.229, 0.341, 0.244)
H (0.796, 0.086, 0.595)
H (0.102, 0.747, 0.967)
H (0.527, 0.435, 0.128)
H (0.086, 0.852, 0.839)
H (0.055, 0.857, 0.342)
O (0.623, 0.166, 0.229)
O (0.212, 0.167, 0.730)
O (0.788, 0.833, 0.230)
O (0.368, 0.999, 0.532)
O (0.377, 0.834, 0.729)
O (0.091, 0.004, 0.594)
O (0.909, 0.996, 0.094)
O (0.632, 0.001, 0.032)
V (0.735, 0.999, 0.141)
V (0.265, 0.001, 0.641)

Properties
Mass density, g/cm3: 0.94
Space group: P2_1, No. 4
Raw total energy, eV/atom: -5.576
ΔH_f (0 K), eV per atom: -0.38
Crystal system: monoclinic